Record 1
Computed, not measured: a relaxed structure of BaMg14CO16 at the PBE level of DFT.

Structure (POSCAR):
```
BaMg14CO16
1.0
8.746 0.000 0.000
0.000 8.746 0.000
0.000 0.000 4.461
Ba Mg C O
1 14 1 16
Cartesian
0.000 0.000 0.000
0.000 2.330 2.230
0.000 4.373 0.000
0.000 6.416 2.230
2.244 4.373 2.230
2.290 2.290 0.000
2.290 6.456 0.000
2.330 0.000 2.230
4.373 0.000 0.000
4.373 2.244 2.230
4.373 6.502 2.230
6.416 0.000 2.230
6.456 2.290 0.000
6.456 6.456 0.000
6.502 4.373 2.230
4.373 4.373 0.000
0.000 0.000 2.230
0.000 2.455 0.000
0.000 4.373 2.230
0.000 6.292 0.000
2.199 2.199 2.230
2.199 6.547 2.230
2.226 4.373 0.000
2.455 0.000 0.000
4.373 0.000 2.230
4.373 2.226 0.000
4.373 4.373 2.230
4.373 6.520 0.000
6.292 0.000 0.000
6.520 4.373 0.000
6.547 2.199 2.230
6.547 6.547 2.230
```

## Properties
**Space-group type**: No. 123
**ΔE_f**: -2.535 eV/atom
**Total energy after the MP2020 corrections**: -6.06 eV per atom
**Spin magnetization**: 0.132 μB/f.u.

Record 2
Computed, not measured: a relaxed structure of BaAlB4H3O10 at the PBE level of DFT.

Structure (POSCAR):
```
BaAlB4H3O10
1.0
6.277 -3.606 0.000
6.277 3.606 0.000
-6.129 0.000 18.493
Ba Al B H O
4 4 16 12 40
Cartesian
1.891 1.298 1.883
-1.174 -1.298 11.130
7.599 1.298 7.363
4.535 -1.298 16.609
0.984 2.294 10.316
2.376 2.294 17.423
4.049 -2.294 1.070
5.441 -2.294 8.177
-0.101 2.018 13.021
1.923 1.719 7.379
5.182 2.266 1.294
4.307 2.266 7.952
3.462 2.018 14.717
7.567 1.719 1.867
0.575 0.070 17.081
2.786 0.070 10.658
3.639 -0.070 7.835
5.850 -0.070 1.412
-1.142 -1.719 16.625
2.963 -2.018 3.775
2.118 -2.266 10.541
1.243 -2.266 17.198
4.502 -1.719 11.113
6.526 -2.018 5.471
3.747 2.690 3.992
2.673 1.910 4.850
0.928 2.180 14.781
5.742 2.690 5.254
2.432 2.180 12.958
6.817 1.910 4.397
-0.392 -1.910 14.096
3.993 -2.180 5.535
0.683 -2.690 13.239
5.497 -2.180 3.712
3.752 -1.910 13.643
2.678 -2.690 14.500
-1.334 1.614 12.513
7.759 -1.614 5.980
0.841 2.031 8.334
0.917 2.406 12.210
-4.051 0.488 17.601
3.045 2.663 7.625
0.005 2.020 14.411
3.313 1.825 4.076
6.445 2.663 1.621
-0.986 -0.488 8.355
2.444 2.406 15.529
2.528 1.376 10.428
4.836 0.900 1.274
0.832 1.376 17.311
3.356 2.020 13.328
2.358 0.312 7.508
6.177 1.825 5.170
-0.707 -0.312 16.754
8.648 2.031 0.912
1.731 -1.614 3.266
4.654 0.900 7.972
1.771 -0.900 10.520
4.694 1.614 15.226
-2.223 -2.031 17.581
7.132 0.312 1.738
0.248 -1.825 13.322
4.067 -0.312 10.985
3.069 -2.020 5.165
5.593 -1.376 1.182
1.589 -0.900 17.219
3.897 -1.376 8.064
3.981 -2.406 2.964
7.412 0.488 10.138
-0.020 -2.663 16.871
3.112 -1.825 14.417
6.420 -2.020 4.082
3.380 -2.663 10.868
10.476 -0.488 0.892
5.508 -2.406 6.282
5.584 -2.031 10.158
```

## Properties
**Space-group type**: No. 15
**ΔE_f**: -2.675 eV/atom
**Total energy after the MP2020 corrections**: -7.52 eV per atom

Record 3
Computed, not measured: a relaxed structure of V5S4 at the PBE level of DFT.

Structure (POSCAR):
```
V5S4
1.0
-4.496 4.496 1.578
4.496 -4.496 1.578
4.496 4.496 -1.578
V S
5 4
Cartesian
0.000 0.000 0.000
5.583 2.697 0.000
2.697 3.408 0.000
1.799 1.088 1.578
-1.088 1.799 1.578
6.549 0.574 0.000
0.574 2.442 0.000
3.922 2.054 1.578
-2.054 3.922 1.578
```

## Properties
**Space-group type**: No. 87
**ΔE_f**: -1.137 eV/atom
**Total energy after the MP2020 corrections**: -8.02 eV per atom

Record 4
Computed, not measured: a relaxed structure of SiH4 at the PBE level of DFT.

Structure (POSCAR):
```
SiH4
1.0
7.649 0.000 0.000
0.000 5.060 0.000
-1.819 0.000 7.475
Si H
4 16
Cartesian
1.241 0.375 2.723
0.332 2.154 6.460
5.498 2.905 1.015
4.588 4.684 4.753
0.288 0.365 1.577
-0.621 2.164 5.314
1.533 2.845 0.155
0.623 4.745 3.893
0.656 0.744 6.830
1.566 1.786 3.093
1.586 2.864 6.068
2.495 4.725 2.331
3.334 0.334 5.144
4.244 2.195 1.407
4.264 3.274 4.383
5.174 4.315 0.645
5.206 0.315 3.583
4.297 2.215 7.320
6.451 2.895 2.161
5.541 4.694 5.899
```

## Properties
**Space-group type**: No. 14
**ΔE_f**: -0.131 eV/atom
**Total energy after the MP2020 corrections**: -3.93 eV per atom

Record 5
Computed, not measured: a relaxed structure of Ba2Sr2Y2Cu6O13 at the PBE level of DFT.

Structure (POSCAR):
```
Ba2Sr2Y2Cu6O13
1.0
0.000 3.912 11.768
3.822 0.000 11.768
3.822 3.912 0.000
Ba Sr Y Cu O
2 2 2 6 13
Cartesian
5.795 3.912 11.768
1.849 3.912 11.768
5.780 3.912 7.264
1.863 3.912 7.264
5.735 3.912 15.473
1.909 3.912 15.473
3.822 1.916 9.503
3.822 1.967 13.810
3.822 1.944 17.162
3.822 5.909 9.503
3.822 5.857 13.811
3.822 5.880 17.163
3.822 3.912 2.236
1.911 1.956 2.285
3.822 2.179 7.692
1.911 1.956 5.157
3.822 3.912 5.156
3.822 2.133 11.327
3.822 5.645 7.692
3.822 3.912 14.053
5.733 5.868 14.053
3.822 5.691 11.327
5.733 5.868 16.925
3.822 3.912 17.012
3.822 3.912 21.173
```

## Properties
**Space-group type**: No. 42
**ΔE_f**: -2.214 eV/atom
**Total energy after the MP2020 corrections**: -6.58 eV per atom
**Spin magnetization**: 0.000 μB/f.u.

Record 6
Computed, not measured: a relaxed structure of K2ThP3Se9 at the PBE level of DFT.

Structure (POSCAR):
```
K2ThP3Se9
1.0
10.344 0.000 0.000
0.244 10.698 0.000
5.042 -0.088 16.109
K Th P Se
8 4 12 36
Cartesian
2.701 2.552 7.515
3.227 2.046 2.234
7.505 7.085 13.711
7.593 8.113 8.803
8.037 2.497 7.306
8.125 3.525 2.398
12.403 8.564 13.875
12.929 8.057 8.595
3.302 7.718 3.561
6.583 2.266 13.382
9.047 8.344 2.727
12.328 2.891 12.548
4.312 5.700 11.686
1.009 9.894 0.147
5.660 4.359 10.477
4.973 9.922 6.059
6.225 -0.012 4.543
5.470 6.112 0.862
10.160 4.498 15.247
9.405 10.622 11.567
10.657 0.688 10.050
9.970 6.251 5.633
14.621 0.715 15.962
11.318 4.910 4.423
0.917 6.010 2.417
0.259 2.718 0.215
1.316 9.969 2.382
4.938 7.759 11.622
4.586 2.385 10.860
2.951 5.284 5.355
3.100 10.463 4.969
5.066 0.100 7.998
7.786 10.478 15.049
5.695 4.934 8.409
5.038 7.709 6.039
8.007 3.984 15.520
7.103 0.523 10.996
4.106 7.815 0.528
7.597 4.419 11.553
4.890 5.227 2.809
5.850 2.122 4.419
5.934 9.382 2.762
9.697 1.228 13.348
9.780 8.488 11.690
10.740 5.383 13.300
8.033 6.190 4.556
11.524 2.794 15.581
8.527 10.087 5.114
7.623 6.626 0.590
10.592 2.900 10.071
9.935 5.676 7.701
7.844 0.132 1.060
10.564 10.510 8.111
12.530 0.146 11.140
12.679 5.326 10.754
11.044 8.225 5.249
10.692 2.850 4.487
14.314 0.641 13.727
15.372 7.892 15.895
14.713 4.600 13.692
```

## Properties
**Space-group type**: No. 2
**ΔE_f**: -1.031 eV/atom
**ΔE to the lowest computed polymorph**: 0.0022 eV/atom
**Total energy after the MP2020 corrections**: -4.85 eV per atom
**Spin magnetization**: 0.000 μB/f.u.

Record 7
Computed, not measured: a relaxed structure of Co2Ge3S3 at the PBE level of DFT.

Structure (POSCAR):
```
Co2Ge3S3
1.0
5.822 -3.955 0.000
5.822 3.955 0.000
-5.150 0.000 5.891
Co Ge S
4 6 6
Cartesian
2.911 1.977 0.000
0.336 1.977 2.946
2.911 -1.977 0.000
0.336 -1.977 2.946
2.398 2.698 3.884
4.095 2.698 2.007
0.500 0.000 4.143
5.993 0.000 1.748
2.398 -2.698 3.884
4.095 -2.698 2.007
1.260 1.096 1.194
1.260 -1.096 1.194
4.051 0.000 0.069
2.443 0.000 5.822
5.234 1.096 4.697
5.234 -1.096 4.697
```

## Properties
**Space-group type**: No. 12
**ΔE_f**: -0.354 eV/atom
**ΔE to the lowest computed polymorph**: 0.2558 eV/atom
**Total energy after the MP2020 corrections**: -5.42 eV per atom
**Spin magnetization**: 0.000 μB/f.u.

Record 8
Computed, not measured: a relaxed structure of Zn4SnN4 at the PBE level of DFT.

Structure (POSCAR):
```
Zn4SnN4
1.0
5.866 0.000 0.000
0.106 5.991 0.000
2.434 -0.005 8.350
Zn Sn N
8 2 8
Cartesian
0.390 2.177 1.037
2.434 0.933 2.892
3.168 3.772 4.612
2.138 5.068 0.390
6.268 0.918 7.960
5.238 2.213 3.738
5.972 5.053 5.457
8.016 3.809 7.312
3.085 0.695 6.133
5.321 5.291 2.216
0.480 4.157 0.794
2.072 4.935 5.721
3.368 1.795 4.398
4.973 5.951 6.926
3.432 0.035 1.423
5.038 4.190 3.952
6.334 1.051 2.629
7.926 1.829 7.556
```

## Properties
**Space-group type**: No. 2
**ΔE_f**: -0.044 eV/atom
**Total energy after the MP2020 corrections**: -4.75 eV per atom
**Spin magnetization**: 0.000 μB/f.u.